# 1
The following is a PBE-GGA calculation of K3Gd5P6O24 after structural relaxation, from the Materials Project database. Values from VASP.

## Properties
- M_tot: 69.95 μB per cell
- Space-group type: C2/c, No. 15
- DFT total energy: -0.644 Ry per atom

```
&SYSTEM
  ibrav = 0, nat = 76, ntyp = 4
/
ATOMIC_SPECIES
K 39.10 K.upf
Gd 157.25 Gd.upf
P 30.97 P.upf
O 16.00 O.upf
CELL_PARAMETERS angstrom
3.503 8.828 0.000
-3.503 8.828 0.000
0.000 7.490 16.667
ATOMIC_POSITIONS angstrom
K -2.813 11.772 9.579
K -2.307 14.445 12.500
K 2.307 10.700 4.167
K -2.813 17.119 15.421
K 2.813 8.027 1.246
K 2.813 13.374 7.088
Gd 0.869 5.448 3.464
Gd -0.869 9.193 11.798
Gd 0.605 11.528 0.321
Gd 0.869 15.953 4.870
Gd -0.605 13.617 16.346
Gd -0.605 15.274 8.654
Gd -0.962 10.700 4.167
Gd 0.605 9.872 8.013
Gd 0.962 14.445 12.500
Gd -0.869 19.698 13.203
P -0.835 11.473 14.030
P -0.835 17.418 10.971
P 0.598 18.347 6.891
P -0.598 22.092 15.224
P 0.672 12.150 10.299
P 0.672 16.741 14.702
P -0.598 6.799 9.777
P 0.835 7.728 5.696
P -0.672 8.405 1.966
P 0.835 13.673 2.638
P -0.672 12.996 6.368
P 0.598 3.054 1.443
O 2.793 11.105 1.212
O -2.602 9.589 5.329
O -1.745 8.454 3.111
O 2.793 10.295 7.122
O -2.012 17.732 11.938
O 1.362 16.923 16.066
O 2.012 7.414 4.729
O -0.344 12.930 13.833
O 1.734 13.845 16.020
O 2.602 15.556 11.338
O 0.279 14.228 6.253
O -0.471 8.348 9.582
O -2.793 14.850 9.546
O 0.471 16.798 7.085
O -0.143 15.435 14.498
O -1.362 8.223 0.601
O -2.012 11.159 13.063
O 1.734 15.046 8.981
O -0.143 13.456 10.503
O -1.734 11.301 0.647
O 1.362 11.968 8.934
O -0.284 14.698 3.036
O -0.284 6.703 5.297
O 0.344 9.185 5.500
O 1.189 13.814 1.147
O 2.602 13.334 13.663
O -0.279 17.974 14.586
O 0.471 4.603 1.249
O 0.279 7.172 2.081
O -0.279 10.917 10.414
O -2.793 14.040 15.455
O 1.189 7.587 7.187
O 2.012 13.987 3.604
O 0.344 12.215 2.834
O -1.189 17.559 9.480
O 0.143 11.690 6.164
O -2.602 11.811 3.005
O -1.745 12.947 5.222
O 0.284 10.448 13.631
O 0.284 18.443 11.370
O -0.471 20.543 15.419
O -1.734 10.100 7.686
O 1.745 12.199 11.445
O 0.143 9.711 2.169
O 1.745 16.692 13.556
O -1.362 13.178 7.733
O -0.344 15.961 11.167
O -1.189 11.332 15.520
```


# 2
The following is a PBE-GGA calculation of K3GdP2O8 after structural relaxation, from the Materials Project database. Values from VASP.

## Properties
- Space-group type: P2_1/m, No. 11
- DFT total energy: -0.546 Ry per atom

```
&SYSTEM
  ibrav = 0, nat = 28, ntyp = 4
/
ATOMIC_SPECIES
K 39.10 K.upf
Gd 157.25 Gd.upf
P 30.97 P.upf
O 16.00 O.upf
CELL_PARAMETERS angstrom
5.676 0.000 0.000
0.000 7.514 0.000
0.000 0.233 9.532
ATOMIC_POSITIONS angstrom
K 4.257 4.922 5.643
K 1.419 2.825 3.889
K 4.257 3.752 1.806
K 1.419 3.996 7.726
K 1.419 6.037 0.788
K 4.257 1.711 8.744
Gd 4.257 7.536 2.781
Gd 1.419 0.212 6.751
P 4.257 5.991 8.682
P 1.419 1.757 0.850
P 4.257 1.561 5.455
P 1.419 6.187 4.077
O 4.257 6.216 0.643
O 1.419 1.531 8.889
O 4.257 4.458 8.558
O 1.419 3.289 0.974
O 0.147 1.177 1.559
O 2.985 6.570 7.972
O 5.529 6.570 7.972
O 2.691 1.177 1.559
O 4.257 2.222 4.039
O 1.419 5.526 5.493
O 2.985 1.987 6.256
O 0.147 5.761 3.276
O 2.692 5.761 3.276
O 5.530 1.987 6.256
O 4.257 7.542 5.212
O 1.419 0.205 4.319
```


# 3
The following is a PBE-GGA calculation of KGdPdO3 after structural relaxation, from the Materials Project database. Values from VASP.

## Properties
- M_tot: 14.00 μB per cell
- Space-group type: C2/m, No. 12
- DFT total energy: -0.575 Ry per atom

```
&SYSTEM
  ibrav = 0, nat = 12, ntyp = 4
/
ATOMIC_SPECIES
K 39.10 K.upf
Gd 157.25 Gd.upf
Pd 106.42 Pd.upf
O 16.00 O.upf
CELL_PARAMETERS angstrom
0.960 -6.805 -0.114
4.396 -5.163 -1.123
2.750 -1.538 6.861
ATOMIC_POSITIONS angstrom
K 4.650 -8.383 2.189
K 3.457 -5.122 3.435
Gd 6.024 -9.202 5.534
Gd 2.083 -4.303 0.090
Pd 7.453 -13.070 4.105
Pd 0.654 -0.435 1.519
O 6.832 -11.252 4.948
O 5.277 -10.552 0.796
O 4.894 -7.160 5.010
O 1.276 -2.254 0.676
O 3.214 -6.346 0.614
O 2.830 -2.954 4.828
```


# 4
The following is a PBE-GGA calculation of K3GdSi2O7 after structural relaxation, from the Materials Project database. Values from VASP.

## Properties
- M_tot: 14.00 μB per cell
- Space-group type: P6_3/mcm, No. 193
- DFT total energy: -0.553 Ry per atom

```
&SYSTEM
  ibrav = 0, nat = 78, ntyp = 4
/
ATOMIC_SPECIES
K 39.10 K.upf
Gd 157.25 Gd.upf
Si 28.09 Si.upf
O 16.00 O.upf
CELL_PARAMETERS angstrom
10.025 0.000 0.000
-5.013 8.682 0.000
0.000 0.000 14.580
ATOMIC_POSITIONS angstrom
K -3.350 5.802 5.966
K 6.700 0.000 1.323
K 0.000 5.788 10.935
K -1.663 2.880 8.613
K 3.350 5.802 13.256
K 1.663 2.880 5.966
K 3.326 0.000 8.613
K 5.013 2.894 3.645
K 3.326 0.000 13.256
K 0.000 0.000 0.000
K 6.700 0.000 5.966
K -3.350 5.802 1.323
K 5.013 2.894 10.935
K 3.350 5.802 8.613
K -1.663 2.880 13.256
K 0.000 5.788 3.645
K 0.000 0.000 7.290
K 1.663 2.880 1.323
Gd 0.000 5.788 7.290
Gd 5.013 2.894 0.000
Gd 5.013 2.894 7.290
Gd 0.000 0.000 10.935
Gd 0.000 5.788 0.000
Gd 0.000 0.000 3.645
Si 6.612 0.000 12.493
Si 3.414 0.000 2.087
Si 3.306 5.726 5.203
Si -3.306 5.726 12.493
Si -3.306 5.726 9.377
Si 1.707 2.956 9.377
Si 1.707 2.956 12.493
Si 3.306 5.726 2.087
Si -1.707 2.956 2.087
Si 3.414 0.000 5.203
Si -1.707 2.956 5.203
Si 6.612 0.000 9.377
O 6.863 2.793 1.353
O 4.175 4.547 1.353
O -0.889 1.540 2.133
O 1.850 5.889 1.353
O 4.124 7.142 5.157
O 6.025 1.342 13.227
O 0.889 1.540 12.447
O -4.124 7.142 9.423
O 2.981 5.164 3.645
O 1.013 7.340 8.642
O 4.175 4.547 5.937
O -1.850 5.889 8.642
O -4.124 7.142 12.447
O -0.838 4.135 5.937
O 0.838 4.135 13.227
O 5.851 4.547 8.642
O -2.032 3.519 3.645
O 4.000 1.342 1.353
O -1.013 7.340 5.937
O 4.063 0.000 3.645
O 1.850 5.889 5.937
O -1.850 5.889 13.227
O 4.000 1.342 5.937
O 0.889 1.540 9.423
O 6.025 1.342 8.642
O 3.162 2.793 13.227
O 1.778 0.000 5.157
O 2.032 3.519 10.935
O 4.124 7.142 2.133
O 6.863 2.793 5.937
O -0.838 4.135 1.353
O 8.247 0.000 12.447
O 5.851 4.547 13.227
O -0.889 1.540 5.157
O 8.247 0.000 9.423
O 0.838 4.135 8.642
O -1.013 7.340 1.353
O -2.981 5.164 10.935
O 1.013 7.340 13.227
O 5.962 0.000 10.935
O 1.778 0.000 2.133
O 3.162 2.793 8.642
```


# 5
The following is a PBE-GGA calculation of KGdZrTiO6 after structural relaxation, from the Materials Project database. Values from VASP.

## Properties
- M_tot: 7.00 μB per cell
- Space-group type: F-43m, No. 216
- DFT total energy: -0.663 Ry per atom

```
&SYSTEM
  ibrav = 0, nat = 10, ntyp = 5
/
ATOMIC_SPECIES
K 39.10 K.upf
Gd 157.25 Gd.upf
Zr 91.22 Zr.upf
Ti 47.87 Ti.upf
O 16.00 O.upf
CELL_PARAMETERS angstrom
-1.637 5.059 -2.077
-5.126 2.118 1.354
-0.397 4.516 3.469
ATOMIC_POSITIONS angstrom
K -1.790 2.923 0.687
Gd -5.370 8.770 2.060
Zr -3.580 5.846 1.373
Ti 0.000 0.000 0.000
O -2.578 5.440 -0.407
O -4.582 6.253 3.153
O -2.782 7.770 1.383
O -4.377 3.923 1.363
O -5.222 6.533 0.292
O -1.938 5.160 2.454
```


# 6
The following is a PBE-GGA calculation of KGdTe4 after structural relaxation, from the Materials Project database. Values from VASP.

## Properties
- Space-group type: P4/nbm, No. 125
- DFT total energy: -0.410 Ry per atom

```
&SYSTEM
  ibrav = 0, nat = 12, ntyp = 3
/
ATOMIC_SPECIES
K 39.10 K.upf
Gd 157.25 Gd.upf
Te 127.60 Te.upf
CELL_PARAMETERS angstrom
-2.341 6.365 -1.026
-1.344 0.585 6.701
8.226 3.246 1.367
ATOMIC_POSITIONS angstrom
K 0.000 0.000 0.000
K -1.843 3.475 2.838
Gd 4.113 1.623 0.683
Gd 2.270 5.098 3.521
Te 0.405 3.689 5.752
Te 1.562 2.078 2.614
Te -0.487 6.750 3.852
Te 4.822 4.643 1.590
Te 3.185 6.922 6.027
Te 0.669 5.140 0.714
Te 3.373 7.946 2.464
Te 4.634 3.618 5.153
```


# 7
The following is a PBE-GGA calculation of KGdTe2 after structural relaxation, from the Materials Project database. Values from VASP.

## Properties
- Space-group type: R-3m, No. 166
- DFT total energy: -0.499 Ry per atom

```
&SYSTEM
  ibrav = 0, nat = 4, ntyp = 3
/
ATOMIC_SPECIES
K 39.10 K.upf
Gd 157.25 Gd.upf
Te 127.60 Te.upf
CELL_PARAMETERS angstrom
-2.656 -0.431 -3.655
-2.046 3.648 -1.762
4.924 2.362 -6.674
ATOMIC_POSITIONS angstrom
K 0.111 2.789 -6.045
Gd 0.000 0.000 0.000
Te -0.192 1.345 -2.837
Te 0.414 4.233 -9.254
```


# 8
The following is a PBE-GGA calculation of LaGd3 after structural relaxation, from the Materials Project database. Values from VASP.

## Properties
- Space-group type: P6_3/mmc, No. 194
- DFT total energy: -0.865 Ry per atom

```
&SYSTEM
  ibrav = 0, nat = 8, ntyp = 2
/
ATOMIC_SPECIES
La 138.91 La.upf
Gd 157.25 Gd.upf
CELL_PARAMETERS angstrom
4.834 4.190 -3.662
-7.229 0.819 -1.186
-0.247 4.028 4.283
ATOMIC_POSITIONS angstrom
La 0.751 4.073 -1.766
La -3.393 4.963 1.201
Gd 2.654 6.654 -0.040
Gd 0.218 4.542 1.805
Gd -0.989 7.066 -0.638
Gd -5.296 2.383 -0.525
Gd -2.860 4.495 -2.370
Gd -1.653 1.971 0.073
```


# 9
The following is a PBE-GGA calculation of LaGd3 after structural relaxation, from the Materials Project database. Values from VASP.

## Properties
- Space-group type: I4/mmm, No. 139
- DFT total energy: -0.864 Ry per atom

```
&SYSTEM
  ibrav = 0, nat = 4, ntyp = 2
/
ATOMIC_SPECIES
La 138.91 La.upf
Gd 157.25 Gd.upf
CELL_PARAMETERS angstrom
-2.570 2.570 5.137
2.570 -2.570 5.137
2.570 2.570 -5.137
ATOMIC_POSITIONS angstrom
La 0.000 0.000 0.000
Gd 0.000 2.570 2.569
Gd 2.570 0.000 2.569
Gd 0.000 0.000 5.137
```


# 10
The following is a PBE-GGA calculation of LaGdN2 after structural relaxation, from the Materials Project database. Values from VASP.

## Properties
- M_tot: 7.00 μB per cell
- Space-group type: R-3m, No. 166
- DFT total energy: -0.760 Ry per atom

```
&SYSTEM
  ibrav = 0, nat = 4, ntyp = 3
/
ATOMIC_SPECIES
La 138.91 La.upf
Gd 157.25 Gd.upf
N 14.01 N.upf
CELL_PARAMETERS angstrom
6.056 -1.819 0.000
6.056 1.819 0.000
5.509 0.000 3.103
ATOMIC_POSITIONS angstrom
La 8.810 0.000 1.551
Gd 0.000 0.000 0.000
N 4.474 0.000 0.788
N 13.146 0.000 2.315
```


# 11
The following is a PBE-GGA calculation of LaGdN2 after structural relaxation, from the Materials Project database. Values from VASP.

## Properties
- M_tot: 7.00 μB per cell
- Space-group type: P4/mmm, No. 123
- DFT total energy: -0.758 Ry per atom

```
&SYSTEM
  ibrav = 0, nat = 4, ntyp = 3
/
ATOMIC_SPECIES
La 138.91 La.upf
Gd 157.25 Gd.upf
N 14.01 N.upf
CELL_PARAMETERS angstrom
3.648 0.000 0.000
0.000 3.648 0.000
0.000 0.000 5.154
ATOMIC_POSITIONS angstrom
La 1.824 1.824 2.577
Gd 0.000 0.000 0.000
N 0.000 0.000 2.577
N 1.824 1.824 0.000
```


# 12
The following is a PBE-GGA calculation of NaLaGdSbO6 after structural relaxation, from the Materials Project database. Values from VASP.

## Properties
- M_tot: 7.00 μB per cell
- Space-group type: F-43m, No. 216
- DFT total energy: -0.574 Ry per atom

```
&SYSTEM
  ibrav = 0, nat = 10, ntyp = 5
/
ATOMIC_SPECIES
Na 22.99 Na.upf
La 138.91 La.upf
Gd 157.25 Gd.upf
Sb 121.76 Sb.upf
O 16.00 O.upf
CELL_PARAMETERS angstrom
-2.126 3.796 -4.027
-5.308 -0.954 -2.461
-4.574 3.515 1.364
ATOMIC_POSITIONS angstrom
Na -9.006 4.767 -3.843
La -3.002 1.589 -1.281
Gd 0.000 0.000 0.000
Sb -6.004 3.178 -2.562
O -4.173 3.470 -3.254
O -7.835 2.887 -1.870
O -6.333 5.129 -2.610
O -5.676 1.228 -2.514
O -6.679 3.019 -4.415
O -5.329 3.337 -0.709
```


Repeat the eighth record exactly.
The following is a PBE-GGA calculation of LaGd3 after structural relaxation, from the Materials Project database. Values from VASP.

## Properties
- Space-group type: P6_3/mmc, No. 194
- DFT total energy: -0.865 Ry per atom

```
&SYSTEM
  ibrav = 0, nat = 8, ntyp = 2
/
ATOMIC_SPECIES
La 138.91 La.upf
Gd 157.25 Gd.upf
CELL_PARAMETERS angstrom
4.834 4.190 -3.662
-7.229 0.819 -1.186
-0.247 4.028 4.283
ATOMIC_POSITIONS angstrom
La 0.751 4.073 -1.766
La -3.393 4.963 1.201
Gd 2.654 6.654 -0.040
Gd 0.218 4.542 1.805
Gd -0.989 7.066 -0.638
Gd -5.296 2.383 -0.525
Gd -2.860 4.495 -2.370
Gd -1.653 1.971 0.073
```